Entry 1:
The following is a PBE+U calculation of a relaxed BaSrSmVO6 crystal, from the Materials Project database.

Unit cell a=5.929 b=5.929 c=5.929 alpha=60.00 beta=60.00 gamma=60.00
Atoms (fractional coordinates):
Ba 0.750 0.750 0.750
Sr 0.250 0.250 0.250
Sm 0.000 0.000 0.000
V 0.500 0.500 0.500
O 0.728 0.272 0.272
O 0.272 0.728 0.728
O 0.728 0.272 0.728
O 0.272 0.728 0.272
O 0.728 0.728 0.272
O 0.272 0.272 0.728

Summary:
Formation enthalpy at 0 K   -3095 meV per atom
Magnetic moment   0.00 μB/f.u.

***

Entry 2:
The following is a PBE+U calculation of a relaxed BaSmV4O12 crystal, from the Materials Project database.

Unit cell a=5.403 b=5.403 c=7.571 alpha=90.00 beta=90.00 gamma=90.00
Atoms (fractional coordinates):
Ba 0.500 0.500 0.000
Sm 0.000 0.000 0.500
V 0.000 0.500 0.747
V 0.000 0.500 0.253
V 0.500 0.000 0.747
V 0.500 0.000 0.253
O 0.244 0.244 0.262
O 0.244 0.244 0.738
O 0.756 0.756 0.738
O 0.756 0.756 0.262
O 0.756 0.244 0.738
O 0.756 0.244 0.262
O 0.244 0.756 0.738
O 0.244 0.756 0.262
O 0.000 0.500 0.500
O 0.000 0.500 0.000
O 0.500 0.000 0.500
O 0.500 0.000 0.000

Summary:
Formation enthalpy at 0 K   -2595 meV per atom
Magnetic moment   1.00 μB/f.u.

***

Entry 3:
The following is a PBE+U calculation of a relaxed Ba2SmV3O11 crystal, from the Materials Project database.

Unit cell a=7.844 b=12.507 c=11.399 alpha=103.14 beta=90.00 gamma=90.00
Atoms (fractional coordinates):
Ba 0.275 0.767 0.942
Ba 0.725 0.233 0.058
Ba 0.775 0.233 0.558
Ba 0.225 0.767 0.442
Ba 0.748 0.554 0.889
Ba 0.252 0.446 0.111
Ba 0.248 0.446 0.611
Ba 0.752 0.554 0.389
Sm 0.501 0.998 0.712
Sm 0.499 0.002 0.288
Sm 0.001 0.002 0.788
Sm 0.999 0.998 0.212
V 0.753 0.905 0.976
V 0.247 0.095 0.024
V 0.253 0.095 0.524
V 0.747 0.905 0.476
V 0.520 0.683 0.673
V 0.480 0.317 0.327
V 0.020 0.317 0.827
V 0.980 0.683 0.173
V 0.981 0.687 0.671
V 0.019 0.313 0.329
V 0.481 0.313 0.829
V 0.519 0.687 0.171
O 0.444 0.817 0.718
O 0.556 0.183 0.282
O 0.944 0.183 0.782
O 0.056 0.817 0.218
O 0.551 0.179 0.808
O 0.449 0.821 0.192
O 0.051 0.821 0.692
O 0.949 0.179 0.308
O 0.750 0.666 0.667
O 0.250 0.334 0.333
O 0.250 0.334 0.833
O 0.750 0.666 0.167
O 0.945 0.376 0.966
O 0.055 0.624 0.034
O 0.445 0.624 0.534
O 0.555 0.376 0.466
O 0.941 0.392 0.732
O 0.059 0.608 0.268
O 0.441 0.608 0.768
O 0.559 0.392 0.232
O 0.784 0.986 0.623
O 0.216 0.014 0.377
O 0.284 0.014 0.877
O 0.716 0.986 0.123
O 0.971 0.883 0.974
O 0.029 0.117 0.026
O 0.471 0.117 0.526
O 0.529 0.883 0.474
O 0.640 0.786 0.947
O 0.360 0.214 0.053
O 0.140 0.214 0.553
O 0.860 0.786 0.447
O 0.718 0.983 0.865
O 0.282 0.017 0.135
O 0.218 0.017 0.635
O 0.782 0.983 0.365
O 0.559 0.370 0.719
O 0.441 0.630 0.281
O 0.059 0.630 0.781
O 0.941 0.370 0.219
O 0.563 0.388 0.961
O 0.437 0.612 0.039
O 0.063 0.612 0.539
O 0.937 0.388 0.461

Summary:
Formation enthalpy at 0 K   -3001 meV per atom
Magnetic moment   0.00 μB/f.u.